Density functional theory data (PBE-GGA) for a relaxed structure of Cu5Sn2Se7.

a = 6.9893 Å, b = 6.9893 Å, c = 9.0301 Å
α = 82.59°, β = 82.59°, γ = 48.27°
Element x y z (fractional)
Cu 0.0208 0.5542 0.6425
Cu 0.7329 0.2671 0.5000
Cu 0.8870 0.4026 0.0729
Cu 0.4458 0.9792 0.3575
Cu 0.5974 0.1130 0.9271
Se 0.3540 0.3492 0.4436
Se 0.1927 0.2579 0.8611
Se 0.0477 0.1133 0.2915
Se 0.8867 0.9523 0.7085
Se 0.7421 0.8073 0.1389
Se 0.5127 0.4873 0.0000
Se 0.6508 0.6460 0.5564
Sn 0.2991 0.8521 0.7759
Sn 0.1479 0.7009 0.2241

Symmetry: C2 (5)
Formation energy, kJ per mole of atoms: -50.0

---

Density functional theory data (PBE-GGA) for a relaxed structure of Bi2SeO7.

a = 6.0137 Å, b = 8.4077 Å, c = 13.0824 Å
α = 90.00°, β = 90.00°, γ = 112.03°
Element x y z (fractional)
O 0.8838 0.4472 0.7980
O 0.3682 0.0970 0.7696
O 0.8682 0.0970 0.7304
O 0.0698 0.8778 0.4649
O 0.1351 0.2248 0.2120
O 0.5712 0.8856 0.4024
O 0.6863 0.7093 0.5824
O 0.1318 0.9030 0.2696
O 0.3649 0.7752 0.7120
O 0.4302 0.1222 0.9649
O 0.8137 0.2907 0.0824
O 0.6162 0.5528 0.2980
O 0.9288 0.1144 0.9024
O 0.8649 0.7752 0.7880
O 0.2008 0.5766 0.5494
O 0.1162 0.5528 0.2020
O 0.2992 0.4234 0.0494
O 0.6351 0.2248 0.2880
O 0.3137 0.2907 0.4176
O 0.7992 0.4234 0.4506
O 0.1863 0.7093 0.9176
O 0.0712 0.8856 0.0976
O 0.9302 0.1222 0.5351
O 0.7008 0.5766 0.9506
O 0.3838 0.4472 0.7020
O 0.4288 0.1144 0.5976
O 0.5698 0.8778 0.0351
O 0.6318 0.9030 0.2304
Bi 0.7056 0.7141 0.1226
Bi 0.2056 0.7141 0.3774
Bi 0.4448 0.0446 0.1340
Bi 0.0552 0.9554 0.6340
Bi 0.7944 0.2859 0.6226
Bi 0.5552 0.9554 0.8660
Bi 0.2944 0.2859 0.8774
Bi 0.9448 0.0446 0.3660
Se 0.4185 0.6282 0.6392
Se 0.9185 0.6282 0.8608
Se 0.5815 0.3718 0.3608
Se 0.0815 0.3718 0.1392

Symmetry: P2_1/c (14)
Formation energy, kJ per mole of atoms: -115.3

---

Density functional theory data (PBE-GGA) for a relaxed structure of Zn3P6N12Cl.

a = 7.1727 Å, b = 7.1727 Å, c = 7.1727 Å
α = 109.37°, β = 109.37°, γ = 109.37°
Element x y z (fractional)
N 0.2737 0.5535 0.9989
N 0.2737 0.9989 0.5535
N 0.7254 0.7254 0.2755
N 0.2755 0.7254 0.7254
N 0.5535 0.2737 0.9989
N 0.9989 0.2737 0.5535
N 0.7174 0.4411 0.4411
N 0.7254 0.2755 0.7254
N 0.9989 0.5535 0.2737
N 0.5535 0.9989 0.2737
N 0.4411 0.7174 0.4411
N 0.4411 0.4411 0.7174
P 0.4981 0.2526 0.7476
P 0.2526 0.7476 0.4981
P 0.7476 0.2526 0.4981
P 0.7476 0.4981 0.2526
P 0.4981 0.7476 0.2526
P 0.2526 0.4981 0.7476
Zn 0.0010 0.0010 0.3574
Zn 0.3574 0.0010 0.0010
Zn 0.0010 0.3574 0.0010
Cl 0.0257 0.0257 0.0257

Symmetry: R3m (160)
Formation energy, kJ per mole of atoms: -42.3

---

Density functional theory data (PBE-GGA) for a relaxed structure of Na3Ta3AlSi3P3O24.

a = 8.7661 Å, b = 8.7919 Å, c = 22.4511 Å
α = 89.97°, β = 90.07°, γ = 119.91°
Element x y z (fractional)
O 0.4990 0.6355 0.8574
O 0.5042 0.3626 0.4245
O 0.8038 0.9786 0.6938
O 0.1847 0.1602 0.0906
O 0.8296 0.0279 0.0913
O 0.4965 0.3580 0.1471
O 0.6443 0.1378 0.1436
O 0.3636 0.8612 0.8576
O 0.4992 0.1345 0.6419
O 0.3594 0.5076 0.0799
O 0.8307 0.8030 0.3113
O 0.8546 0.3593 0.9248
O 0.1373 0.6418 0.0794
O 0.1372 0.5015 0.8572
O 0.1996 0.0347 0.3047
O 0.4676 0.1613 0.5298
O 0.1352 0.6343 0.3589
O 0.6947 0.1629 0.0303
O 0.1733 0.9748 0.1941
O 0.5294 0.8386 0.7537
O 0.3594 0.8638 0.5785
O 0.8379 0.3031 0.5297
O 0.3043 0.8332 0.2543
O 0.3007 0.8326 0.9759
O 0.2002 0.0323 0.5925
O 0.9686 0.8007 0.0913
O 0.0226 0.8262 0.6940
O 0.5068 0.1436 0.9236
O 0.4750 0.1588 0.2438
O 0.5008 0.8672 0.0801
O 0.9746 0.1722 0.5925
O 0.8412 0.5336 0.0287
O 0.1667 0.6971 0.4754
O 0.0283 0.1887 0.9072
O 0.8307 0.5215 0.7424
O 0.1754 0.1981 0.6940
O 0.4931 0.6420 0.5791
O 0.3101 0.4712 0.7541
O 0.8381 0.8127 0.5923
O 0.4776 0.3035 0.7431
O 0.5298 0.8286 0.4725
O 0.8058 0.8372 0.1944
O 0.1694 0.4697 0.9751
O 0.8286 0.3015 0.2401
O 0.6372 0.4927 0.6437
O 0.9625 0.1672 0.3045
O 0.5181 0.6884 0.2545
O 0.1512 0.1778 0.4051
O 0.0202 0.8405 0.4089
O 0.1637 0.6928 0.7536
O 0.8254 0.0293 0.8038
O 0.1619 0.9739 0.9071
O 0.3696 0.4988 0.3573
O 0.8531 0.4967 0.4242
O 0.0329 0.2026 0.1942
O 0.5032 0.8701 0.3559
O 0.2013 0.1748 0.8039
O 0.8131 0.8407 0.9073
O 0.6392 0.1477 0.4239
O 0.4732 0.3073 0.0276
O 0.6873 0.5077 0.2441
O 0.5328 0.7006 0.9753
O 0.9720 0.7980 0.8038
O 0.8606 0.3574 0.6420
O 0.2997 0.4670 0.4737
O 0.6952 0.5340 0.5250
O 0.8654 0.5029 0.1410
O 0.8146 0.9706 0.4080
O 0.6426 0.4968 0.9239
O 0.6930 0.1718 0.7411
O 0.1636 0.4676 0.2548
O 0.1340 0.4988 0.5793
Na 0.7050 0.6737 0.4133
Na 0.3734 0.3637 0.2463
Na 0.0093 0.0093 0.4920
Na 0.3359 0.6658 0.6649
Na 0.6788 0.3375 0.3311
Na 0.6381 0.0001 0.2480
Na 0.6675 0.3333 0.8289
Na 0.0033 0.0028 0.9994
Na 0.3257 0.6638 0.1645
P 0.9487 0.6135 0.0860
P 0.7114 0.0101 0.7479
P 0.9483 0.3365 0.5876
P 0.9924 0.2839 0.2505
P 0.2861 0.0017 0.2515
P 0.2979 0.2883 0.7480
P 0.9910 0.7025 0.7482
P 0.6644 0.0529 0.0872
P 0.3883 0.0512 0.5873
Si 0.7196 0.7049 0.2530
Si 0.3182 0.3634 0.4154
Si 0.3842 0.3343 0.0880
Si 0.6623 0.6113 0.5877
Si 0.6206 0.6681 0.9162
Si 0.6296 0.9606 0.4157
Si 0.0469 0.3811 0.9162
Si 0.0471 0.6758 0.4171
Si 0.3334 0.9507 0.9168
Ta 0.6609 0.3318 0.9770
Ta 0.3333 0.6664 0.8107
Ta 0.3345 0.6638 0.0225
Ta 0.3317 0.6665 0.3138
Ta 0.3354 0.6644 0.5210
Ta 0.6673 0.3349 0.4782
Ta 0.9980 0.9977 0.1447
Ta 0.0011 0.0014 0.8547
Ta 0.9981 0.9980 0.6431
Al 0.9972 0.9952 0.3561
Al 0.6731 0.3467 0.1860
Al 0.6645 0.3346 0.6861

Symmetry: P1 (1)
Formation energy, kJ per mole of atoms: -295.6

---

Density functional theory data (PBE-GGA) for a relaxed structure of AlZn2SbH12O12.

a = 5.7312 Å, b = 5.7312 Å, c = 32.8583 Å
α = 90.00°, β = 90.00°, γ = 120.00°
Element x y z (fractional)
Al 0.6667 0.3333 0.0714
Al 0.0000 0.0000 0.8356
Al 0.0000 0.0000 0.4904
H 0.3267 0.1375 0.4695
H 0.4338 0.9184 0.0296
H 0.9482 0.5326 0.2820
H 0.8584 0.1852 0.8037
H 0.1789 0.3257 0.5246
H 0.6581 0.6716 0.1226
H 0.9211 0.5410 0.9620
H 0.1709 0.3359 0.2044
H 0.8108 0.6733 0.4695
H 0.0816 0.5154 0.0296
H 0.1467 0.8211 0.5246
H 0.6641 0.8351 0.2044
H 0.1649 0.8291 0.2044
H 0.6741 0.8601 0.8570
H 0.5339 0.5454 0.7199
H 0.9919 0.5339 0.6129
H 0.8148 0.6732 0.8037
H 0.1861 0.3259 0.8570
H 0.0115 0.4661 0.7199
H 0.3284 0.9864 0.1226
H 0.8625 0.1892 0.4695
H 0.4846 0.5662 0.0296
H 0.5843 0.0518 0.2820
H 0.3958 0.9017 0.3735
H 0.0983 0.4941 0.3735
H 0.6199 0.0789 0.9620
H 0.3268 0.1416 0.8037
H 0.4674 0.4157 0.2820
H 0.4661 0.4580 0.6129
H 0.4590 0.3801 0.9620
H 0.1399 0.8139 0.8570
H 0.6743 0.8533 0.5246
H 0.4546 0.9885 0.7199
H 0.0136 0.3419 0.1226
H 0.5059 0.6042 0.3735
H 0.5420 0.0081 0.6129
Zn 0.3333 0.6667 0.8815
Zn 0.3333 0.6667 0.5268
Zn 0.3333 0.6667 0.2218
Zn 0.6667 0.3333 0.8014
Zn 0.0000 0.0000 0.2184
Zn 0.6667 0.3333 0.4408
O 0.0311 0.3859 0.6054
O 0.9710 0.5786 0.0425
O 0.3410 0.1320 0.1058
O 0.3345 0.2754 0.4068
O 0.8399 0.1805 0.6327
O 0.6160 0.6152 0.9164
O 0.4253 0.0200 0.9583
O 0.8195 0.6594 0.6327
O 0.9688 0.6119 0.7275
O 0.3848 0.0008 0.9164
O 0.4214 0.3924 0.0425
O 0.9408 0.6655 0.4068
O 0.6431 0.0312 0.7275
O 0.6601 0.8399 0.7006
O 0.3406 0.1601 0.6327
O 0.6076 0.0290 0.0425
O 0.8374 0.7113 0.2784
O 0.0257 0.6156 0.3672
O 0.1601 0.8202 0.7006
O 0.3548 0.9689 0.6054
O 0.3844 0.4101 0.3672
O 0.9992 0.3840 0.9164
O 0.8739 0.1626 0.2784
O 0.7246 0.0592 0.4068
O 0.9800 0.4053 0.9583
O 0.0698 0.4483 0.2814
O 0.1798 0.3399 0.7006
O 0.8680 0.2090 0.1058
O 0.3881 0.3569 0.7275
O 0.6141 0.6452 0.6054
O 0.3785 0.9302 0.2814
O 0.5947 0.5747 0.9583
O 0.5899 0.9743 0.3672
O 0.2887 0.1261 0.2784
O 0.7910 0.6590 0.1058
O 0.5517 0.6215 0.2814
Sb 0.0000 0.0000 0.6664
Sb 0.0000 0.0000 0.3266
Sb 0.0000 0.0000 0.0653

Symmetry: P3 (143)
Formation energy, kJ per mole of atoms: -61.5
Polymorph energy (0 for the lowest one), meV per atom: 976

---

Density functional theory data (PBE-GGA) for a relaxed structure of Lu2NiRu.

a = 4.6852 Å, b = 4.6852 Å, c = 4.6852 Å
α = 60.00°, β = 60.00°, γ = 60.00°
Element x y z (fractional)
Ru 0.5000 0.5000 0.5000
Lu 0.2500 0.2500 0.2500
Lu 0.7500 0.7500 0.7500
Ni 0.0000 0.0000 0.0000

Symmetry: Fm-3m (225)
Formation energy, kJ per mole of atoms: -50.7

---

Density functional theory data (PBE-GGA) for a relaxed structure of Ge2S5.

a = 8.5705 Å, b = 9.8816 Å, c = 10.1249 Å
α = 85.17°, β = 65.06°, γ = 89.06°
Element x y z (fractional)
S 0.8117 0.5690 0.9522
S 0.2517 0.9595 0.3385
S 0.9208 0.6899 0.5130
S 0.5417 0.2898 0.1706
S 0.5805 0.8300 0.4371
S 0.0865 0.8480 0.7647
S 0.7332 0.4787 0.3447
S 0.4195 0.1700 0.5629
S 0.3306 0.0759 0.9565
S 0.3812 0.6240 0.2507
S 0.9841 0.2200 0.8638
S 0.6188 0.3760 0.7493
S 0.7483 0.0405 0.6615
S 0.1883 0.4310 0.0478
S 0.0159 0.7800 0.1362
S 0.9135 0.1520 0.2353
S 0.6694 0.9241 0.0435
S 0.2668 0.5213 0.6553
S 0.0792 0.3101 0.4870
S 0.4583 0.7102 0.8294
Ge 0.4788 0.8307 0.2642
Ge 0.1903 0.3055 0.6471
Ge 0.8097 0.6945 0.3529
Ge 0.5212 0.1693 0.7358
Ge 0.8877 0.7774 0.9814
Ge 0.3807 0.5023 0.8204
Ge 0.1123 0.2226 0.0186
Ge 0.6193 0.4977 0.1796

Symmetry: P-1 (2)
Formation energy, kJ per mole of atoms: -27.2

---

Density functional theory data (PBE-GGA) for a relaxed structure of ErSe2.

a = 4.0487 Å, b = 4.0487 Å, c = 8.2822 Å
α = 90.00°, β = 90.00°, γ = 90.00°
Element x y z (fractional)
Se 0.5000 0.5000 0.0000
Se 0.0000 0.5000 0.3704
Se 0.5000 0.0000 0.6296
Se 0.0000 0.0000 0.0000
Er 0.0000 0.5000 0.7261
Er 0.5000 0.0000 0.2739

Symmetry: P4/nmm (129)
Formation energy, kJ per mole of atoms: -177.2

---

Density functional theory data (PBE-GGA) for a relaxed structure of K2Na4Ge2O7.

a = 29.6063 Å, b = 6.0676 Å, c = 6.0949 Å
α = 60.29°, β = 90.00°, γ = 90.00°
Element x y z (fractional)
O 0.9963 0.4760 0.7078
O 0.7203 0.4440 0.9313
O 0.1220 0.5413 0.4202
O 0.9713 0.1974 0.4430
O 0.4963 0.5240 0.2922
O 0.6220 0.4587 0.5798
O 0.3848 0.2719 0.5243
O 0.9838 0.9257 0.9923
O 0.7256 0.9719 0.7792
O 0.2256 0.0281 0.2208
O 0.0584 0.1139 0.6475
O 0.4838 0.0743 0.0077
O 0.3047 0.2581 0.2753
O 0.3908 0.4492 0.9927
O 0.7762 0.5872 0.2399
O 0.8908 0.5508 0.0073
O 0.5584 0.8861 0.3525
O 0.4713 0.8026 0.5570
O 0.3384 0.7580 0.1499
O 0.1145 0.2531 0.9701
O 0.2762 0.4128 0.7601
O 0.8047 0.7419 0.7247
O 0.6145 0.7469 0.0299
O 0.8848 0.7281 0.4757
O 0.6510 0.9869 0.3084
O 0.2203 0.5560 0.0687
O 0.8384 0.2420 0.8501
O 0.1510 0.0131 0.6916
Na 0.2659 0.6616 0.3304
Na 0.9435 0.2084 0.0923
Na 0.3456 0.1829 0.8902
Na 0.9476 0.7775 0.7078
Na 0.8456 0.8171 0.1098
Na 0.1617 0.2614 0.2633
Na 0.6680 0.1611 0.8859
Na 0.4435 0.7916 0.9077
Na 0.6617 0.7386 0.7367
Na 0.7659 0.3384 0.6696
Na 0.4476 0.2225 0.2922
Na 0.1662 0.6420 0.7071
Na 0.9413 0.6014 0.2964
Na 0.4413 0.3986 0.7036
Na 0.6662 0.3580 0.2929
Na 0.1680 0.8389 0.1141
K 0.0521 0.8854 0.3525
K 0.0522 0.5521 0.0366
K 0.5522 0.4479 0.9634
K 0.5521 0.1146 0.6475
K 0.7466 0.9796 0.3001
K 0.3529 0.8071 0.5615
K 0.2466 0.0204 0.6999
K 0.8529 0.1929 0.4385
Ge 0.8563 0.5488 0.7686
Ge 0.1123 0.2379 0.6880
Ge 0.6123 0.7621 0.3120
Ge 0.2553 0.3205 0.0636
Ge 0.7553 0.6795 0.9364
Ge 0.3563 0.4512 0.2314
Ge 0.0008 0.1895 0.7004
Ge 0.5008 0.8105 0.2996

Symmetry: P2_1 (4)
Formation energy, kJ per mole of atoms: -198.3

---

Final energy, record by record: -4.0670 -5.3052 -6.6901 -7.8767 -4.2887 -6.5491 -4.1980 -5.3747 -5.1606 eV/atom